1.
Material: Li4Mn2Fe3Te3O16
Method: DFT, GGA+U
State: optimized geometry

Cell lengths 6.243, 6.260, 9.974 Å; angles 90.48, 92.36, 119.22 degrees
Space group P1 (No. 1)
Asymmetric unit:
Li1 0.000 0.000 0.000 (multiplicity 1)
Li2 0.022 0.023 0.513 (multiplicity 1)
Li3 0.364 0.679 0.886 (multiplicity 1)
Li4 0.681 0.334 0.404 (multiplicity 1)
Mn1 0.329 0.703 0.519 (multiplicity 1)
Mn2 0.712 0.388 0.982 (multiplicity 1)
Fe1 0.162 0.846 0.221 (multiplicity 1)
Fe2 0.354 0.194 0.726 (multiplicity 1)
Fe3 0.854 0.695 0.722 (multiplicity 1)
Te1 0.167 0.351 0.220 (multiplicity 1)
Te2 0.650 0.841 0.226 (multiplicity 1)
Te3 0.856 0.202 0.722 (multiplicity 1)
O1 0.003 0.498 0.835 (multiplicity 1)
O2 0.023 0.054 0.822 (multiplicity 1)
O3 0.040 0.058 0.330 (multiplicity 1)
O4 0.046 0.511 0.336 (multiplicity 1)
O5 0.156 0.338 0.615 (multiplicity 1)
O6 0.179 0.885 0.619 (multiplicity 1)
O7 0.302 0.190 0.115 (multiplicity 1)
O8 0.324 0.656 0.111 (multiplicity 1)
O9 0.491 0.527 0.336 (multiplicity 1)
O10 0.493 0.976 0.341 (multiplicity 1)
O11 0.549 0.499 0.848 (multiplicity 1)
O12 0.572 0.081 0.847 (multiplicity 1)
O13 0.681 0.337 0.613 (multiplicity 1)
O14 0.704 0.896 0.613 (multiplicity 1)
O15 0.852 0.685 0.092 (multiplicity 1)
O16 0.873 0.218 0.096 (multiplicity 1)

2.
Material: Li4Ti3Mn4Fe2O18
Method: DFT, GGA+U
State: optimized geometry

Cell lengths 2.940, 9.172, 25.390 Å; angles 90.00, 90.00, 90.00 degrees
Space group Pmc2_1 (No. 26)
Asymmetric unit:
Li1 0.000 0.052 0.000 (multiplicity 2)
Li2 0.000 0.069 0.190 (multiplicity 2)
Li3 0.000 0.431 0.184 (multiplicity 2)
Li4 0.000 0.445 0.400 (multiplicity 2)
Ti1 0.000 0.251 0.297 (multiplicity 2)
Ti2 0.000 0.256 0.085 (multiplicity 2)
Ti3 0.500 0.097 0.386 (multiplicity 2)
Mn1 0.000 0.242 0.877 (multiplicity 2)
Mn2 0.000 0.265 0.504 (multiplicity 2)
Mn3 0.500 0.105 0.605 (multiplicity 2)
Mn4 0.500 0.398 0.778 (multiplicity 2)
Fe1 0.000 0.251 0.692 (multiplicity 2)
Fe2 0.500 0.397 0.995 (multiplicity 2)
O1 0.000 0.031 0.105 (multiplicity 2)
O2 0.000 0.067 0.333 (multiplicity 2)
O3 0.000 0.126 0.434 (multiplicity 2)
O4 0.000 0.243 0.612 (multiplicity 2)
O5 0.000 0.261 0.772 (multiplicity 2)
O6 0.000 0.371 0.945 (multiplicity 2)
O7 0.000 0.434 0.051 (multiplicity 2)
O8 0.000 0.464 0.279 (multiplicity 2)
O9 0.500 0.097 0.683 (multiplicity 2)
O10 0.500 0.114 0.898 (multiplicity 2)
O11 0.500 0.135 0.530 (multiplicity 2)
O12 0.500 0.195 0.031 (multiplicity 2)
O13 0.500 0.212 0.250 (multiplicity 2)
O14 0.500 0.290 0.134 (multiplicity 2)
O15 0.500 0.295 0.353 (multiplicity 2)
O16 0.500 0.370 0.852 (multiplicity 2)
O17 0.500 0.383 0.477 (multiplicity 2)
O18 0.500 0.404 0.700 (multiplicity 2)

3.
Material: Li4TiMn4Fe4O18
Method: DFT, GGA+U
State: optimized geometry

Cell lengths 2.907, 9.036, 24.557 Å; angles 90.00, 90.00, 90.00 degrees
Space group Pmc2_1 (No. 26)
Asymmetric unit:
Li1 0.000 0.050 0.000 (multiplicity 2)
Li2 0.000 0.075 0.788 (multiplicity 2)
Li3 0.000 0.440 0.813 (multiplicity 2)
Li4 0.000 0.441 0.591 (multiplicity 2)
Ti1 0.000 0.258 0.692 (multiplicity 2)
Mn1 0.000 0.239 0.899 (multiplicity 2)
Mn2 0.000 0.250 0.294 (multiplicity 2)
Mn3 0.500 0.098 0.600 (multiplicity 2)
Mn4 0.500 0.404 0.984 (multiplicity 2)
Fe1 0.000 0.239 0.101 (multiplicity 2)
Fe2 0.000 0.255 0.482 (multiplicity 2)
Fe3 0.500 0.099 0.379 (multiplicity 2)
Fe4 0.500 0.395 0.208 (multiplicity 2)
O1 0.000 0.044 0.873 (multiplicity 2)
O2 0.000 0.058 0.649 (multiplicity 2)
O3 0.000 0.145 0.551 (multiplicity 2)
O4 0.000 0.242 0.373 (multiplicity 2)
O5 0.000 0.256 0.216 (multiplicity 2)
O6 0.000 0.362 0.034 (multiplicity 2)
O7 0.000 0.436 0.934 (multiplicity 2)
O8 0.000 0.459 0.708 (multiplicity 2)
O9 0.500 0.104 0.073 (multiplicity 2)
O10 0.500 0.107 0.298 (multiplicity 2)
O11 0.500 0.122 0.457 (multiplicity 2)
O12 0.500 0.195 0.736 (multiplicity 2)
O13 0.500 0.202 0.953 (multiplicity 2)
O14 0.500 0.295 0.632 (multiplicity 2)
O15 0.500 0.296 0.852 (multiplicity 2)
O16 0.500 0.365 0.130 (multiplicity 2)
O17 0.500 0.393 0.506 (multiplicity 2)
O18 0.500 0.396 0.290 (multiplicity 2)

4.
Material: Li4Ti3Mn2Fe4O18
Method: DFT, GGA+U
State: optimized geometry

Cell lengths 2.940, 9.065, 25.331 Å; angles 90.00, 90.00, 90.00 degrees
Space group Pmc2_1 (No. 26)
Asymmetric unit:
Li1 0.000 0.051 0.000 (multiplicity 2)
Li2 0.000 0.057 0.209 (multiplicity 2)
Li3 0.000 0.445 0.400 (multiplicity 2)
Li4 0.000 0.446 0.187 (multiplicity 2)
Ti1 0.000 0.249 0.095 (multiplicity 2)
Ti2 0.000 0.256 0.297 (multiplicity 2)
Ti3 0.500 0.101 0.388 (multiplicity 2)
Mn1 0.000 0.248 0.696 (multiplicity 2)
Mn2 0.500 0.397 0.004 (multiplicity 2)
Fe1 0.000 0.238 0.891 (multiplicity 2)
Fe2 0.000 0.269 0.502 (multiplicity 2)
Fe3 0.500 0.108 0.608 (multiplicity 2)
Fe4 0.500 0.391 0.785 (multiplicity 2)
O1 0.000 0.049 0.112 (multiplicity 2)
O2 0.000 0.062 0.340 (multiplicity 2)
O3 0.000 0.159 0.436 (multiplicity 2)
O4 0.000 0.247 0.772 (multiplicity 2)
O5 0.000 0.250 0.620 (multiplicity 2)
O6 0.000 0.350 0.957 (multiplicity 2)
O7 0.000 0.441 0.051 (multiplicity 2)
O8 0.000 0.455 0.276 (multiplicity 2)
O9 0.500 0.101 0.914 (multiplicity 2)
O10 0.500 0.104 0.692 (multiplicity 2)
O11 0.500 0.139 0.530 (multiplicity 2)
O12 0.500 0.190 0.253 (multiplicity 2)
O13 0.500 0.203 0.037 (multiplicity 2)
O14 0.500 0.301 0.353 (multiplicity 2)
O15 0.500 0.315 0.138 (multiplicity 2)
O16 0.500 0.363 0.863 (multiplicity 2)
O17 0.500 0.391 0.700 (multiplicity 2)
O18 0.500 0.403 0.477 (multiplicity 2)

5.
Material: Li4Ti3Mn3Fe2O16
Method: DFT, GGA+U
State: optimized geometry

Cell lengths 5.887, 5.939, 9.592 Å; angles 90.43, 90.10, 119.09 degrees
Space group P1 (No. 1)
Asymmetric unit:
Li1 0.000 0.000 0.000 (multiplicity 1)
Li2 0.004 0.993 0.501 (multiplicity 1)
Li3 0.325 0.665 0.895 (multiplicity 1)
Li4 0.665 0.327 0.400 (multiplicity 1)
Ti1 0.167 0.337 0.221 (multiplicity 1)
Ti2 0.657 0.830 0.220 (multiplicity 1)
Ti3 0.830 0.170 0.719 (multiplicity 1)
Mn1 0.165 0.827 0.217 (multiplicity 1)
Mn2 0.339 0.167 0.718 (multiplicity 1)
Mn3 0.825 0.658 0.720 (multiplicity 1)
Fe1 0.334 0.667 0.497 (multiplicity 1)
Fe2 0.656 0.336 0.994 (multiplicity 1)
O1 0.003 0.995 0.313 (multiplicity 1)
O2 0.015 0.018 0.815 (multiplicity 1)
O3 0.039 0.500 0.350 (multiplicity 1)
O4 0.163 0.321 0.607 (multiplicity 1)
O5 0.178 0.847 0.606 (multiplicity 1)
O6 0.325 0.181 0.103 (multiplicity 1)
O7 0.326 0.666 0.111 (multiplicity 1)
O8 0.486 0.517 0.336 (multiplicity 1)
O9 0.491 0.956 0.346 (multiplicity 1)
O10 0.499 0.465 0.841 (multiplicity 1)
O11 0.519 0.037 0.840 (multiplicity 1)
O12 0.653 0.307 0.608 (multiplicity 1)
O13 0.678 0.832 0.608 (multiplicity 1)
O14 0.821 0.674 0.101 (multiplicity 1)
O15 0.830 0.163 0.109 (multiplicity 1)
O16 0.954 0.479 0.840 (multiplicity 1)

6.
Material: Li4Ti2Mn3Fe4O18
Method: DFT, GGA+U
State: optimized geometry

Cell lengths 8.998, 25.461, 2.935 Å; angles 90.00, 90.00, 90.00 degrees
Space group Pbam (No. 55)
Asymmetric unit:
Li1 0.193 0.011 0.000 (multiplicity 4)
Li2 0.198 0.795 0.000 (multiplicity 4)
Ti1 0.003 0.898 0.000 (multiplicity 4)
Mn1 0.000 0.500 0.000 (multiplicity 2)
Mn2 0.146 0.193 0.500 (multiplicity 4)
Fe1 0.021 0.696 0.000 (multiplicity 4)
Fe2 0.139 0.411 0.500 (multiplicity 4)
O1 0.003 0.575 0.000 (multiplicity 4)
O2 0.046 0.842 0.500 (multiplicity 4)
O3 0.063 0.059 0.500 (multiplicity 4)
O4 0.097 0.240 0.000 (multiplicity 4)
O5 0.102 0.334 0.500 (multiplicity 4)
O6 0.145 0.495 0.500 (multiplicity 4)
O7 0.155 0.722 0.500 (multiplicity 4)
O8 0.193 0.147 0.000 (multiplicity 4)
O9 0.203 0.916 0.000 (multiplicity 4)

7.
Material: Li4Mn3V2Fe3O16
Method: DFT, GGA+U
State: optimized geometry

Cell lengths 5.892, 5.905, 9.515 Å; angles 90.86, 90.02, 119.26 degrees
Space group P1 (No. 1)
Asymmetric unit:
Li1 0.000 0.000 0.000 (multiplicity 1)
Li2 0.003 0.005 0.500 (multiplicity 1)
Li3 0.334 0.687 0.597 (multiplicity 1)
Li4 0.661 0.346 0.096 (multiplicity 1)
Mn1 0.171 0.836 0.280 (multiplicity 1)
Mn2 0.336 0.181 0.781 (multiplicity 1)
Mn3 0.825 0.664 0.778 (multiplicity 1)
V1 0.328 0.671 0.005 (multiplicity 1)
V2 0.671 0.343 0.506 (multiplicity 1)
Fe1 0.170 0.347 0.281 (multiplicity 1)
Fe2 0.661 0.838 0.280 (multiplicity 1)
Fe3 0.827 0.174 0.781 (multiplicity 1)
O1 0.003 0.001 0.188 (multiplicity 1)
O2 0.036 0.536 0.155 (multiplicity 1)
O3 0.151 0.806 0.902 (multiplicity 1)
O4 0.165 0.331 0.899 (multiplicity 1)
O5 0.332 0.682 0.389 (multiplicity 1)
O6 0.336 0.171 0.397 (multiplicity 1)
O7 0.466 0.968 0.153 (multiplicity 1)
O8 0.472 0.531 0.143 (multiplicity 1)
O9 0.515 0.061 0.649 (multiplicity 1)
O10 0.545 0.520 0.644 (multiplicity 1)
O11 0.664 0.353 0.886 (multiplicity 1)
O12 0.666 0.834 0.896 (multiplicity 1)
O13 0.832 0.181 0.401 (multiplicity 1)
O14 0.841 0.672 0.394 (multiplicity 1)
O15 0.960 0.494 0.654 (multiplicity 1)
O16 0.999 0.994 0.689 (multiplicity 1)

Number 1: energy of formation from the pure elements -1.784 eV per atom. Number 2: energy of formation from the pure elements -2.389 eV per atom. Number 3: energy of formation from the pure elements -1.993 eV per atom. Number 4: energy of formation from the pure elements -2.323 eV per atom. Number 5: energy of formation from the pure elements -2.478 eV per atom. Number 6: energy of formation from the pure elements -2.171 eV per atom. Number 7: energy of formation from the pure elements -2.072 eV per atom.